VASP calculation (PBE-GGA) on an optimized crystal structure of Y3Al12Os4.

CIF file:
```
data_Y3Al12Os4
_cell_length_a 8.8520
_cell_length_b 8.8520
_cell_length_c 9.5738
_cell_angle_alpha 90.00
_cell_angle_beta 90.00
_cell_angle_gamma 120.00
_space_group_name_H-M_alt 'P 63/m m c'
_space_group_IT_number 194
_space_group_name_Hall '-P 6c 2c'
loop_
_atom_site_label
_atom_site_fract_x
_atom_site_fract_y
_atom_site_fract_z
_atom_site_occupancy
Y1 0.1929 0.3857 0.2500 1
Al1 0.0000 0.0000 0.2500 1
Al2 0.1199 0.5600 0.7500 1
Al3 0.1628 0.3256 0.5757 1
Al4 0.3333 0.6667 0.0143 1
Os1 0.0000 0.0000 0.0000 1
Os2 0.0000 0.5000 0.0000 1
```

Properties
Calculated formation energy (eV per atom): -0.60
Total energy (eV per atom): -6.35
Crystal system: hexagonal

***

VASP calculation (PBE-GGA) on an optimized crystal structure of AlP2.

CIF file:
```
data_AlP2
_cell_length_a 7.233
_cell_length_b 8.623
_cell_length_c 13.887
_cell_angle_alpha 90.00
_cell_angle_beta 90.00
_cell_angle_gamma 90.00
_space_group_name_H-M_alt 'I b c a'
_space_group_IT_number 73
_space_group_name_Hall '-I 2b 2c'
loop_
_atom_site_label
_atom_site_fract_x
_atom_site_fract_y
_atom_site_fract_z
_atom_site_occupancy
Al1 0.206 0.125 0.121 1
P1 0.000 0.000 0.000 1
P2 0.000 0.250 0.234 1
P3 0.135 0.000 0.750 1
P4 0.250 0.182 0.500 1
```

Properties
Magnetization (μB per formula unit): 0.0
Calculated formation energy (eV per atom): 0.03
Total energy (eV per atom): -4.83
Crystal system: orthorhombic

***

VASP calculation (PBE-GGA) on an optimized crystal structure of AlPPd4.

CIF file:
```
data_AlPPd4
_cell_length_a 6.661
_cell_length_b 3.464
_cell_length_c 11.520
_cell_angle_alpha 90.00
_cell_angle_beta 90.10
_cell_angle_gamma 90.00
_space_group_name_H-M_alt 'P 1 m 1'
_space_group_IT_number 6
loop_
_space_group_symop_operation_xyz
'x,y,z'
'x,-y,z'
loop_
_atom_site_label
_atom_site_fract_x
_atom_site_fract_y
_atom_site_fract_z
_atom_site_occupancy
Al1 0.000 0.000 0.000 1
Al2 0.004 0.000 0.668 1
Al3 0.503 0.000 0.502 1
P1 0.499 0.000 0.167 1
P2 0.503 0.500 0.834 1
P3 0.999 0.500 0.334 1
Pd1 0.132 0.000 0.461 1
Pd2 0.138 0.000 0.204 1
Pd3 0.245 0.000 0.836 1
Pd4 0.304 0.500 0.635 1
Pd5 0.309 0.500 0.036 1
Pd6 0.401 0.500 0.329 1
Pd7 0.625 0.000 0.970 1
Pd8 0.632 0.000 0.707 1
Pd9 0.738 0.000 0.329 1
Pd10 0.800 0.500 0.139 1
Pd11 0.805 0.500 0.530 1
Pd12 0.893 0.500 0.836 1
```

Properties
Calculated formation energy (eV per atom): -0.66
Total energy (eV per atom): -5.64
Crystal system: monoclinic

***

Question: total energy of number 1 (Y3Al12Os4)?
Answer: -6.35 eV per atom

***

Question: Look up the calculated formation energy of the second one.
Answer: 0.03 eV per atom